Entry 1:
PrAl4Ni PBE relaxed; symmetry = Cmcm, No. 63; energy = -57.57 eV/cell
1.0
2.083 -7.933 0.000
2.083 7.933 0.000
0.000 0.000 6.572
Pr Al Ni
2 8 2
direct
0.114 0.886 0.750
0.886 0.114 0.250
0.077 0.923 0.250
0.308 0.692 0.552
0.308 0.692 0.948
0.500 0.500 0.000
0.500 0.500 0.500
0.692 0.308 0.052
0.692 0.308 0.448
0.923 0.077 0.750
0.223 0.777 0.250
0.777 0.223 0.750


Entry 2:
PrAlNi4 PBE relaxed; symmetry = Cmmm, No. 65; energy = -34.36 eV/cell
1.0
2.563 -4.249 0.000
2.563 4.249 0.000
0.000 0.000 4.032
Pr Al Ni
1 1 4
direct
0.000 0.000 0.000
0.500 0.500 0.500
0.000 0.500 0.500
0.333 0.667 0.000
0.500 0.000 0.500
0.667 0.333 0.000


Entry 3:
Pr2AlNi2 PBE relaxed; symmetry = Immm, No. 71; M_tot = 0.00 μB/atom; energy = -26.81 eV/cell
1.0
-2.070 2.741 4.279
2.070 -2.741 4.279
2.070 2.741 -4.279
Pr Al Ni
2 1 2
direct
0.205 0.205 0.000
0.795 0.795 0.000
0.500 0.000 0.500
0.228 0.500 0.728
0.772 0.500 0.272


Entry 4:
Pr3AlNi8 PBE relaxed; symmetry = P6_3/mmc, No. 194; M_tot = 0.01 μB/atom; energy = -136.32 eV/cell
1.0
5.162 0.000 0.000
-2.581 4.471 0.000
0.000 0.000 16.248
Pr Al Ni
6 2 16
direct
0.333 0.667 0.046
0.333 0.667 0.250
0.333 0.667 0.454
0.667 0.333 0.546
0.667 0.333 0.750
0.667 0.333 0.954
0.000 0.000 0.000
0.000 0.000 0.500
0.000 0.000 0.250
0.000 0.000 0.750
0.168 0.336 0.627
0.168 0.336 0.873
0.168 0.832 0.627
0.168 0.832 0.873
0.333 0.667 0.750
0.336 0.168 0.127
0.336 0.168 0.373
0.664 0.832 0.627
0.664 0.832 0.873
0.667 0.333 0.250
0.832 0.168 0.127
0.832 0.168 0.373
0.832 0.664 0.127
0.832 0.664 0.373


Entry 5:
PrAl5Ni2 PBE relaxed; symmetry = Immm, No. 71; energy = -39.80 eV/cell
1.0
-1.999 3.526 4.821
1.999 -3.526 4.821
1.999 3.526 -4.821
Pr Al Ni
1 5 2
direct
0.000 0.000 0.000
0.151 0.341 0.810
0.469 0.659 0.810
0.500 0.000 0.500
0.531 0.341 0.190
0.849 0.659 0.190
0.262 0.762 0.500
0.738 0.238 0.500


Entry 6:
Al4Ni3Pt PBE relaxed; symmetry = P4/mmm, No. 123; M_tot = 0.00 μB/atom; energy = -44.15 eV/cell
1.0
2.918 0.000 0.000
0.000 2.918 0.000
0.000 0.000 11.907
Al Ni Pt
4 3 1
direct
0.000 0.000 0.119
0.000 0.000 0.358
0.000 0.000 0.642
0.000 0.000 0.881
0.500 0.500 0.000
0.500 0.500 0.237
0.500 0.500 0.763
0.500 0.500 0.500


Entry 7:
Al3Ni2Pt PBE relaxed; symmetry = P4/mmm, No. 123; M_tot = 0.00 μB/atom; energy = -33.31 eV/cell
1.0
2.966 0.000 0.000
0.000 2.966 0.000
0.000 0.000 8.868
Al Ni Pt
3 2 1
direct
0.000 0.000 0.000
0.000 0.000 0.316
0.000 0.000 0.684
0.500 0.500 0.166
0.500 0.500 0.834
0.500 0.500 0.500


Entry 8:
U3Al3NiRu2 PBE relaxed; symmetry = P-62m, No. 189; M_tot = 0.53 μB/atom; energy = -72.77 eV/cell
1.0
6.900 0.000 0.000
-3.450 5.975 0.000
0.000 0.000 3.945
U Al Ni Ru
3 3 1 2
direct
0.000 0.418 0.000
0.418 0.000 0.000
0.582 0.582 0.000
0.000 0.766 0.500
0.234 0.234 0.500
0.766 0.000 0.500
0.000 0.000 0.000
0.333 0.667 0.500
0.667 0.333 0.500


Number 1: DFT formation energy -540.2 meV/atom. Number 2: DFT formation energy -451.8 meV/atom. Number 3: DFT formation energy -387.6 meV/atom. Number 4: DFT formation energy -319.4 meV/atom. Number 5: DFT formation energy -590.8 meV/atom. Number 6: DFT formation energy -720.0 meV/atom. Number 7: DFT formation energy -739.9 meV/atom. Number 8: DFT formation energy -370.2 meV/atom.